Entry from the Materials Project: CoP4O11 after structural relaxation (PBE with a Hubbard U).

Summary:
Mass density (Mg/m³): 2.8
Total magnetization (Bohr magnetons per cell): 12.00
Energy of formation (meV/atom): -2425
Energy above the lowest structure with this stoichiometry (meV/atom): 6.5

a b c (Å): 9.326 9.361 10.783
angles (deg): 109.00 108.70 90.29
Space group P-1 (No. 2)
Symmetry-distinct sites (fractional):
Co1 0.227 0.268 0.497
Co2 0.255 0.772 0.021
P1 0.090 0.447 0.752
P2 0.098 0.231 0.913
P3 0.101 0.907 0.764
P4 0.235 0.578 0.392
P5 0.262 0.917 0.559
P6 0.411 0.097 0.280
P7 0.434 0.248 0.076
P8 0.444 0.583 0.235
O1 0.031 0.760 0.036
O2 0.052 0.183 0.304
O3 0.085 0.335 0.615
O4 0.088 0.532 0.257
O5 0.090 0.088 0.782
O6 0.137 0.368 0.871
O7 0.183 0.598 0.821
O8 0.189 0.863 0.650
O9 0.193 0.033 0.502
O10 0.209 0.908 0.901
O11 0.234 0.510 0.498
O12 0.252 0.237 0.036
O13 0.258 0.760 0.441
O14 0.295 0.962 0.194
O15 0.321 0.621 0.127
O16 0.369 0.532 0.335
O17 0.380 0.230 0.386
O18 0.413 0.313 0.677
O19 0.436 0.969 0.647
O20 0.479 0.159 0.181
O21 0.495 0.419 0.166
O22 0.496 0.194 0.961